Compound: Nb2SiP2O12
Source: the Materials Project database
Functional: PBE
Structure: optimized geometry

abc: 8.858 8.858 22.815
angles: 90.00 90.00 120.00
Fractional coordinates of all 102 atoms:
O1 0.029 0.202 0.906
O2 0.638 0.503 0.638
O3 0.835 0.534 0.029
O4 0.030 0.839 0.407
Si1 0.617 0.665 0.917
O5 0.305 0.466 0.759
Nb1 0.997 0.993 0.358
O6 0.975 0.800 0.093
O7 0.638 0.133 0.427
O8 0.466 0.162 0.241
O9 0.133 0.491 0.573
O10 0.809 0.839 0.907
P1 0.950 0.615 0.083
Nb2 0.330 0.665 0.309
Si2 0.000 0.714 0.750
O11 0.305 0.467 0.471
O12 0.171 0.971 0.195
O13 0.175 0.976 0.907
O14 0.466 0.307 0.740
O15 0.497 0.637 0.860
P2 0.282 0.283 0.750
O16 0.171 0.695 0.474
O17 0.161 0.466 0.259
Nb3 0.002 0.996 0.642
Nb4 0.339 0.668 0.025
O18 0.358 0.491 0.073
P3 0.717 0.000 0.750
Nb5 0.663 0.332 0.475
O19 0.201 0.171 0.805
O20 0.535 0.835 0.472
O21 0.838 0.028 0.093
O22 0.503 0.866 0.362
P4 0.333 0.950 0.917
O23 0.495 0.362 0.426
O24 0.868 0.362 0.926
O25 0.524 0.693 0.262
O26 0.867 0.366 0.638
O27 0.971 0.809 0.807
O28 0.838 0.809 0.307
Nb6 0.669 0.332 0.975
O29 0.825 0.800 0.593
P5 0.616 0.950 0.417
Nb7 0.997 0.993 0.858
O30 0.170 0.693 0.762
O31 0.638 0.141 0.141
P6 0.383 0.332 0.083
O32 0.969 0.171 0.594
Nb8 0.335 0.665 0.809
O33 0.498 0.366 0.138
O34 0.173 0.202 0.406
Si3 0.666 0.050 0.083
O35 0.134 0.498 0.862
Si4 0.048 0.665 0.417
O36 0.799 0.971 0.695
Nb9 0.993 0.996 0.142
O37 0.162 0.467 0.971
Nb10 0.329 0.668 0.525
O38 0.132 0.636 0.073
P7 0.051 0.383 0.916
O39 0.801 0.976 0.407
P8 0.665 0.615 0.583
O40 0.365 0.498 0.362
O41 0.468 0.304 0.029
O42 0.524 0.695 0.974
P9 0.283 0.000 0.250
O43 0.696 0.170 0.026
O44 0.865 0.503 0.138
O45 0.693 0.524 0.239
O46 0.840 0.307 0.240
O47 0.362 0.857 0.573
O48 0.029 0.838 0.693
O49 0.699 0.534 0.529
O50 0.503 0.141 0.641
O51 0.504 0.636 0.573
O52 0.169 0.200 0.695
P10 0.000 0.283 0.250
O53 0.032 0.200 0.195
Nb11 0.665 0.330 0.191
O54 0.831 0.032 0.805
O55 0.695 0.162 0.741
P11 0.332 0.383 0.416
O56 0.534 0.840 0.760
O57 0.201 0.032 0.305
O58 0.307 0.840 0.260
O59 0.836 0.304 0.529
O60 0.495 0.857 0.073
Si5 0.714 0.714 0.250
O61 0.642 0.498 0.928
Nb12 0.665 0.330 0.691
O62 0.474 0.170 0.526
O63 0.494 0.133 0.927
O64 0.202 0.171 0.094
O65 0.363 0.866 0.862
O66 0.300 0.835 0.972
P12 0.948 0.332 0.583
O67 0.190 0.028 0.593
O68 0.971 0.171 0.305
O69 0.141 0.637 0.360
Si6 0.384 0.050 0.583
O70 0.830 0.524 0.739
O71 0.856 0.498 0.428
O72 0.809 0.838 0.193

Results
Spin magnetization: 0.00 μB per formula unit
E_tot: -8.125 eV/atom
Space group: Cc (9)
Energy of formation: -2.9733 eV/atom